# GGA-PBE CaZrGeO5, optimized geometry
# Magnetization: 0.00 μB per formula unit
# Calculated volume: 13.74 Å³ per atom
# Energy relative to the lowest polymorph listed for this composition: 0.00 eV/f.u.
# Calculated formation energy: -302.8 kJ per mole of atoms
data_CaZrGeO5
_symmetry_space_group_name_H-M 'P -1'
_symmetry_Int_Tables_number 2
_cell_length_a 5.6718
_cell_length_b 5.8192
_cell_length_c 7.5447
_cell_angle_alpha 104.13
_cell_angle_beta 102.02
_cell_angle_gamma 107.20
loop_
_symmetry_equiv_pos_as_xyz
'x,y,z'
'-x,-y,-z'
loop_
_atom_site_label
_atom_site_type_symbol
_atom_site_fract_x
_atom_site_fract_y
_atom_site_fract_z
Ca1 Ca 0.1576 0.3233 0.2782
Zr1 Zr 0.5000 0.0000 0.0000
Zr2 Zr 0.5000 0.0000 0.5000
Ge1 Ge 0.1837 0.3245 0.7505
O1 O 0.1069 0.7463 0.4342
O2 O 0.1850 0.1067 0.8780
O3 O 0.2207 0.6234 0.9043
O4 O 0.4019 0.0758 0.2497
O5 O 0.4208 0.3346 0.6271

# GGA-PBE Lu6Al43V4, optimized geometry
# Calculated volume: 17.20 Å³ per atom
# Calculated formation energy: -28.5 kJ per mole of atoms
data_Lu6Al43V4
_symmetry_space_group_name_H-M 'P 63/m c m'
_symmetry_Int_Tables_number 193
_symmetry_space_group_name_Hall '-P 6c 2'
_cell_length_a 10.9720
_cell_length_b 10.9720
_cell_length_c 17.4839
_cell_angle_alpha 90.00
_cell_angle_beta 90.00
_cell_angle_gamma 120.00
loop_
_atom_site_label
_atom_site_type_symbol
_atom_site_fract_x
_atom_site_fract_y
_atom_site_fract_z
Lu1 Lu 0.0000 0.4686 0.0960
Al1 Al 0.0000 0.1461 0.7500
Al2 Al 0.0000 0.1563 0.1154
Al3 Al 0.0000 0.2540 0.5300
Al4 Al 0.1466 0.5485 0.2500
Al5 Al 0.1574 0.3923 0.6648
Al6 Al 0.2469 0.4938 0.0000
Al7 Al 0.3333 0.6667 0.1270
V1 V 0.0000 0.0000 0.0000
V2 V 0.0000 0.2708 0.2500

# GGA-PBE Cs2Ba2O3, optimized geometry
# Magnetization: 0.00 μB per formula unit
# Calculated volume: 29.52 Å³ per atom
# Energy relative to the lowest polymorph listed for this composition: 0.00 eV/f.u.
# Calculated formation energy: -202.5 kJ per mole of atoms
data_Cs2Ba2O3
_symmetry_space_group_name_H-M 'P 1 21/c 1'
_symmetry_Int_Tables_number 14
_cell_length_a 7.7111
_cell_length_b 7.8704
_cell_length_c 7.6777
_cell_angle_alpha 90.00
_cell_angle_beta 117.52
_cell_angle_gamma 90.00
loop_
_symmetry_equiv_pos_as_xyz
'x,y,z'
'-x,-y,-z'
'-x,y+1/2,-z+1/2'
'x,-y+1/2,z+1/2'
loop_
_atom_site_label
_atom_site_type_symbol
_atom_site_fract_x
_atom_site_fract_y
_atom_site_fract_z
Cs1 Cs 0.1763 0.1494 0.4234
Ba1 Ba 0.3280 0.6258 0.5619
O1 O 0.0000 0.0000 0.0000
O2 O 0.3909 0.5891 0.2522

# GGA-PBE CsDyCdSe3, optimized geometry
# Magnetization: 0.00 μB per formula unit
# Calculated volume: 32.93 Å³ per atom
# Calculated formation energy: -153.4 kJ per mole of atoms
data_CsDyCdSe3
_symmetry_space_group_name_H-M 'C m c m'
_symmetry_Int_Tables_number 63
_symmetry_space_group_name_Hall '-C 2c 2'
_cell_length_a 4.3047
_cell_length_b 16.3848
_cell_length_c 11.2057
_cell_angle_alpha 90.00
_cell_angle_beta 90.00
_cell_angle_gamma 90.00
loop_
_atom_site_label
_atom_site_type_symbol
_atom_site_fract_x
_atom_site_fract_y
_atom_site_fract_z
Cs1 Cs 0.0000 0.2441 0.2500
Dy1 Dy 0.0000 0.5000 0.0000
Cd1 Cd 0.0000 0.0398 0.7500
Se1 Se 0.0000 0.1168 0.5448
Se2 Se 0.0000 0.4399 0.7500

# GGA-PBE NaCu2O2, optimized geometry
# Calculated volume: 12.13 Å³ per atom
# Energy relative to the lowest polymorph listed for this composition: 0.09 eV/f.u.
# Calculated formation energy: -107.0 kJ per mole of atoms
data_NaCu2O2
_symmetry_space_group_name_H-M 'P 42/n m c'
_symmetry_Int_Tables_number 137
_cell_length_a 6.0841
_cell_length_b 6.0841
_cell_length_c 13.1042
_cell_angle_alpha 90.00
_cell_angle_beta 90.00
_cell_angle_gamma 90.00
loop_
_symmetry_equiv_pos_as_xyz
'x,y,z'
'-x,-y,-z'
'-y+1/2,x,z+1/2'
'y+1/2,-x,-z+1/2'
'-x+1/2,-y+1/2,z'
'x+1/2,y+1/2,-z'
'y,-x+1/2,z+1/2'
'-y,x+1/2,-z+1/2'
'x+1/2,-y,-z'
'-x+1/2,y,z'
'-y,-x,-z+1/2'
'y,x,z+1/2'
'-x,y+1/2,-z'
'x,-y+1/2,z'
'y+1/2,x+1/2,-z+1/2'
'-y+1/2,-x+1/2,z+1/2'
loop_
_atom_site_label
_atom_site_type_symbol
_atom_site_fract_x
_atom_site_fract_y
_atom_site_fract_z
Na1 Na 0.0102 0.2500 0.1712
Cu1 Cu 0.0020 0.7500 0.1413
Cu2 Cu 0.0019 0.7500 0.5050
O1 O 0.0317 0.2500 0.3538
O2 O 0.0340 0.7500 0.3646

# GGA-PBE DyB3H18C2S, optimized geometry
# Magnetization: 0.00 μB per formula unit
# Calculated volume: 10.03 Å³ per atom
# Calculated formation energy: -25.4 kJ per mole of atoms
data_DyB3H18C2S
_symmetry_space_group_name_H-M 'P 1 21/c 1'
_symmetry_Int_Tables_number 14
_cell_length_a 5.5084
_cell_length_b 22.6879
_cell_length_c 8.1491
_cell_angle_alpha 90.00
_cell_angle_beta 100.04
_cell_angle_gamma 90.00
loop_
_symmetry_equiv_pos_as_xyz
'x,y,z'
'-x,-y,-z'
'-x,y+1/2,-z+1/2'
'x,-y+1/2,z+1/2'
loop_
_atom_site_label
_atom_site_type_symbol
_atom_site_fract_x
_atom_site_fract_y
_atom_site_fract_z
Dy1 Dy 0.1816 0.1662 0.1175
B1 B 0.1782 0.2451 0.3768
B2 B 0.3000 0.0842 0.3132
B3 B 0.3342 0.6686 0.4351
H1 H 0.0020 0.1374 0.6123
H2 H 0.0085 0.7219 0.2019
H3 H 0.1102 0.1090 0.3394
H4 H 0.1331 0.0020 0.7071
H5 H 0.1642 0.2018 0.8472
H6 H 0.1854 0.2337 0.5253
H7 H 0.2044 0.6355 0.3381
H8 H 0.2196 0.6961 0.5269
H9 H 0.2269 0.5801 0.9242
H10 H 0.2581 0.0688 0.1643
H11 H 0.2835 0.6454 0.8137
H12 H 0.3049 0.0099 0.9128
H13 H 0.3577 0.0600 0.7520
H14 H 0.3595 0.0431 0.4046
H15 H 0.3698 0.2270 0.3369
H16 H 0.4261 0.7054 0.3533
H17 H 0.4607 0.1228 0.3237
H18 H 0.4917 0.6381 0.5225
C1 C 0.1420 0.6140 0.8367
C2 C 0.2190 0.0338 0.8008
S1 S 0.0188 0.5798 0.6396

# GGA-PBE Nb10Pb14O39, optimized geometry
# Magnetization: 0.00 μB per formula unit
# Calculated volume: 16.54 Å³ per atom
# Energy relative to the lowest polymorph listed for this composition: 6.05 eV/f.u.
# Calculated formation energy: -223.5 kJ per mole of atoms
data_Nb10Pb14O39
_symmetry_space_group_name_H-M 'P 1 21 1'
_symmetry_Int_Tables_number 4
_cell_length_a 12.9295
_cell_length_b 9.5058
_cell_length_c 17.2072
_cell_angle_alpha 90.00
_cell_angle_beta 99.74
_cell_angle_gamma 90.00
loop_
_symmetry_equiv_pos_as_xyz
'x,y,z'
'-x,y+1/2,-z'
loop_
_atom_site_label
_atom_site_type_symbol
_atom_site_fract_x
_atom_site_fract_y
_atom_site_fract_z
Nb1 Nb 0.0004 0.0000 0.1581
Nb2 Nb 0.0032 0.2569 0.9898
Nb3 Nb 0.0032 0.7753 0.3171
Nb4 Nb 0.0252 0.6716 0.6770
Nb5 Nb 0.2179 0.5068 0.0805
Nb6 Nb 0.2703 0.9807 0.4148
Nb7 Nb 0.4844 0.2478 0.4837
Nb8 Nb 0.4857 0.1826 0.8248
Nb9 Nb 0.4944 0.0019 0.6587
Nb10 Nb 0.4939 0.2831 0.1818
Pb1 Pb 0.0113 0.9551 0.5154
Pb2 Pb 0.0182 0.9896 0.8133
Pb3 Pb 0.2167 0.4444 0.3744
Pb4 Pb 0.2295 0.7380 0.2590
Pb5 Pb 0.2346 0.2473 0.5663
Pb6 Pb 0.2402 0.9847 0.7245
Pb7 Pb 0.2448 0.6525 0.5658
Pb8 Pb 0.2556 0.1660 0.9242
Pb9 Pb 0.2591 0.4852 0.7701
Pb10 Pb 0.2622 0.2280 0.2499
Pb11 Pb 0.2702 0.7774 0.9264
Pb12 Pb 0.2801 0.9687 0.1231
Pb13 Pb 0.4798 0.4535 0.6749
Pb14 Pb 0.4912 0.4773 0.9870
O1 O 0.0109 0.7076 0.9079
O2 O 0.0414 0.2782 0.5834
O3 O 0.0502 0.9332 0.0594
O4 O 0.0549 0.6232 0.5761
O5 O 0.0605 0.1232 0.9303
O6 O 0.0599 0.4656 0.7173
O7 O 0.0619 0.8227 0.2041
O8 O 0.0635 0.3265 0.3514
O9 O 0.0697 0.1342 0.2380
O10 O 0.1001 0.6113 0.3144
O11 O 0.1054 0.1673 0.7427
O12 O 0.1392 0.4847 0.8748
O13 O 0.1481 0.3456 0.0274
O14 O 0.1525 0.6812 0.0475
O15 O 0.1544 0.7460 0.7236
O16 O 0.1564 0.8610 0.3632
O17 O 0.1714 0.0590 0.4741
O18 O 0.1840 0.4542 0.4930
O19 O 0.2012 0.4921 0.1841
O20 O 0.2091 0.9622 0.8518
O21 O 0.2940 0.4710 0.6464
O22 O 0.3122 0.0133 0.3112
O23 O 0.3159 0.9719 0.0051
O24 O 0.3431 0.1807 0.4423
O25 O 0.3563 0.9672 0.6247
O26 O 0.3574 0.2004 0.1420
O27 O 0.3604 0.2583 0.7735
O28 O 0.3620 0.5261 0.0810
O29 O 0.3686 0.8496 0.4641
O30 O 0.4246 0.6342 0.7776
O31 O 0.4306 0.8459 0.1508
O32 O 0.4335 0.6422 0.2659
O33 O 0.4351 0.9735 0.7815
O34 O 0.4357 0.3310 0.2843
O35 O 0.4423 0.6221 0.5702
O36 O 0.4438 0.1492 0.9256
O37 O 0.4490 0.4320 0.4339
O38 O 0.4529 0.8106 0.9162
O39 O 0.4697 0.2037 0.5896